# 1
# SbTeSe2F6, relaxed, DFT PBE-GGA
data_SbTeSe2F6
_cell_length_a 9.6387
_cell_length_b 12.6804
_cell_length_c 15.1100
_cell_angle_alpha 90.00
_cell_angle_beta 90.00
_cell_angle_gamma 90.00
_symmetry_space_group_name_H-M 'P 21 21 21'
_symmetry_Int_Tables_number 19
loop_
_symmetry_equiv_pos_as_xyz
'x,y,z'
'-x+1/2,-y,z+1/2'
'x+1/2,-y+1/2,-z'
'-x,y+1/2,-z+1/2'
loop_
_atom_site_label
_atom_site_type_symbol
_atom_site_fract_x
_atom_site_fract_y
_atom_site_fract_z
Sb1 Sb 0.0990 0.2405 0.3613
Sb2 Sb 0.2402 0.0486 0.6164
Te1 Te 0.1068 0.5938 0.0483
Te2 Te 0.1796 0.5000 0.6929
Se1 Se 0.0262 0.8971 0.4036
Se2 Se 0.0647 0.3967 0.9520
Se3 Se 0.1588 0.8957 0.8399
Se4 Se 0.1723 0.3288 0.1748
F1 F 0.0020 0.1689 0.2641
F2 F 0.0425 0.2578 0.9232
F3 F 0.0488 0.5967 0.7493
F4 F 0.0534 0.7963 0.8926
F5 F 0.0870 0.8612 0.1299
F6 F 0.0970 0.5441 0.5784
F7 F 0.0997 0.8459 0.7335
F8 F 0.1588 0.0782 0.0954
F9 F 0.2277 0.9853 0.2511
F10 F 0.2376 0.5097 0.3155
F11 F 0.2393 0.9329 0.9746
F12 F 0.2484 0.7069 0.0133
# * energy with MP2020 corrections: -4.31 eV per atom
# * M_tot: 0.00 μB per formula unit

***

# 2
# Sb2TeSeF10, relaxed, DFT PBE-GGA
data_Sb2TeSeF10
_cell_length_a 8.6615
_cell_length_b 16.4217
_cell_length_c 16.0061
_cell_angle_alpha 90.00
_cell_angle_beta 90.00
_cell_angle_gamma 90.00
_symmetry_space_group_name_H-M 'P b c m'
_symmetry_Int_Tables_number 57
loop_
_symmetry_equiv_pos_as_xyz
'x,y,z'
'-x,-y,-z'
'-x,-y,z+1/2'
'x,y,-z+1/2'
'x,-y+1/2,-z'
'-x,y+1/2,z'
'-x,y+1/2,-z+1/2'
'x,-y+1/2,z+1/2'
loop_
_atom_site_label
_atom_site_type_symbol
_atom_site_fract_x
_atom_site_fract_y
_atom_site_fract_z
Sb1 Sb 0.0152 0.2500 0.0000
Sb2 Sb 0.1040 0.5290 0.2500
Sb3 Sb 0.1414 0.6814 0.7500
Sb4 Sb 0.4039 0.2326 0.2500
Te1 Te 0.3337 0.0154 0.0657
Se1 Se 0.4961 0.1030 0.5294
F1 F 0.0162 0.2137 0.6150
F2 F 0.0473 0.0900 0.7500
F3 F 0.0517 0.0410 0.1657
F4 F 0.1400 0.6715 0.0263
F5 F 0.1451 0.6430 0.2500
F6 F 0.1732 0.1707 0.0235
F7 F 0.1873 0.2140 0.2500
F8 F 0.2429 0.6129 0.6644
F9 F 0.2515 0.5064 0.1651
F10 F 0.3680 0.7472 0.7500
F11 F 0.3810 0.1522 0.7500
F12 F 0.4197 0.2321 0.1306
F13 F 0.4452 0.1180 0.2500
# * energy with MP2020 corrections: -4.76 eV per atom
# * M_tot: 0.02 μB per formula unit

***

# 3
# SbTe2SeF6, relaxed, DFT PBE-GGA
data_SbTe2SeF6
_cell_length_a 9.0182
_cell_length_b 12.6642
_cell_length_c 16.3761
_cell_angle_alpha 90.00
_cell_angle_beta 90.00
_cell_angle_gamma 90.00
_symmetry_space_group_name_H-M 'P 21 21 21'
_symmetry_Int_Tables_number 19
loop_
_symmetry_equiv_pos_as_xyz
'x,y,z'
'-x+1/2,-y,z+1/2'
'x+1/2,-y+1/2,-z'
'-x,y+1/2,-z+1/2'
loop_
_atom_site_label
_atom_site_type_symbol
_atom_site_fract_x
_atom_site_fract_y
_atom_site_fract_z
Sb1 Sb 0.0149 0.0466 0.0530
Sb2 Sb 0.0419 0.2866 0.7699
Te1 Te 0.0432 0.8908 0.4550
Te2 Te 0.1342 0.0064 0.3135
Te3 Te 0.1396 0.6688 0.0534
Te4 Te 0.1499 0.4304 0.1700
Se1 Se 0.0079 0.5576 0.9510
Se2 Se 0.0985 0.1985 0.3685
F1 F 0.0180 0.3039 0.8860
F2 F 0.0416 0.6092 0.3446
F3 F 0.0640 0.2686 0.6538
F4 F 0.0706 0.6574 0.7244
F5 F 0.0812 0.9859 0.9517
F6 F 0.1181 0.4290 0.4302
F7 F 0.1410 0.6220 0.5021
F8 F 0.1423 0.8625 0.7470
F9 F 0.1494 0.4168 0.7642
F10 F 0.1496 0.1634 0.0354
F11 F 0.1664 0.9705 0.1116
F12 F 0.2218 0.2082 0.7878
# * energy with MP2020 corrections: -4.48 eV per atom
# * M_tot: 0.00 μB per formula unit

***

# 4
# Sb2Te3Se3F12, relaxed, DFT PBE-GGA
data_Sb2Te3Se3F12
_cell_length_a 8.9410
_cell_length_b 12.6317
_cell_length_c 16.2153
_cell_angle_alpha 90.00
_cell_angle_beta 90.00
_cell_angle_gamma 90.00
_symmetry_space_group_name_H-M 'P 21 21 21'
_symmetry_Int_Tables_number 19
loop_
_symmetry_equiv_pos_as_xyz
'x,y,z'
'-x+1/2,-y,z+1/2'
'x+1/2,-y+1/2,-z'
'-x,y+1/2,-z+1/2'
loop_
_atom_site_label
_atom_site_type_symbol
_atom_site_fract_x
_atom_site_fract_y
_atom_site_fract_z
Sb1 Sb 0.0196 0.0474 0.0547
Sb2 Sb 0.0426 0.2833 0.7680
Te1 Te 0.0366 0.8885 0.4541
Te2 Te 0.1340 0.0057 0.3125
Te3 Te 0.1471 0.6651 0.0541
Se1 Se 0.0152 0.5530 0.9507
Se2 Se 0.0946 0.1970 0.3692
Se3 Se 0.1310 0.4347 0.1675
F1 F 0.0074 0.8126 0.6186
F2 F 0.0284 0.6161 0.3429
F3 F 0.0724 0.6558 0.7275
F4 F 0.0795 0.9809 0.9535
F5 F 0.0910 0.2551 0.6542
F6 F 0.1145 0.4313 0.4223
F7 F 0.1376 0.8584 0.7663
F8 F 0.1391 0.6224 0.4997
F9 F 0.1519 0.4126 0.7625
F10 F 0.1566 0.1624 0.0309
F11 F 0.1755 0.9736 0.1135
F12 F 0.2191 0.2065 0.8021
# * energy with MP2020 corrections: -4.50 eV per atom
# * M_tot: 0.00 μB per formula unit

***

# 5
# Sn3SbF9, relaxed, DFT PBE-GGA
data_Sn3SbF9
_cell_length_a 4.7889
_cell_length_b 9.3832
_cell_length_c 21.6274
_cell_angle_alpha 90.00
_cell_angle_beta 90.00
_cell_angle_gamma 90.00
_symmetry_space_group_name_H-M 'P b c m'
_symmetry_Int_Tables_number 57
loop_
_symmetry_equiv_pos_as_xyz
'x,y,z'
'-x,-y,-z'
'-x,-y,z+1/2'
'x,y,-z+1/2'
'x,-y+1/2,-z'
'-x,y+1/2,z'
'-x,y+1/2,-z+1/2'
'x,-y+1/2,z+1/2'
loop_
_atom_site_label
_atom_site_type_symbol
_atom_site_fract_x
_atom_site_fract_y
_atom_site_fract_z
Sn1 Sn 0.0064 0.0100 0.1203
Sn2 Sn 0.4436 0.7500 0.0000
Sb1 Sb 0.4478 0.2487 0.7500
F1 F 0.1127 0.6762 0.5591
F2 F 0.2763 0.1364 0.6595
F3 F 0.2773 0.6741 0.1870
F4 F 0.3150 0.5437 0.0532
F5 F 0.3213 0.5740 0.7500
# * energy with MP2020 corrections: -5.17 eV per atom

***

# 6
# SrZnSbF, relaxed, DFT PBE-GGA
data_SrZnSbF
_cell_length_a 4.3545
_cell_length_b 4.3545
_cell_length_c 9.4762
_cell_angle_alpha 90.00
_cell_angle_beta 90.00
_cell_angle_gamma 90.00
_symmetry_space_group_name_H-M 'P 4/n m m'
_symmetry_Int_Tables_number 129
loop_
_symmetry_equiv_pos_as_xyz
'x,y,z'
'-x,-y,-z'
'-y+1/2,x,z'
'y+1/2,-x,-z'
'-x+1/2,-y+1/2,z'
'x+1/2,y+1/2,-z'
'y,-x+1/2,z'
'-y,x+1/2,-z'
'x+1/2,-y,-z'
'-x+1/2,y,z'
'-y,-x,-z'
'y,x,z'
'-x,y+1/2,-z'
'x,-y+1/2,z'
'y+1/2,x+1/2,-z'
'-y+1/2,-x+1/2,z'
loop_
_atom_site_label
_atom_site_type_symbol
_atom_site_fract_x
_atom_site_fract_y
_atom_site_fract_z
Sr1 Sr 0.2500 0.2500 0.1399
Zn1 Zn 0.2500 0.7500 0.5000
Sb1 Sb 0.2500 0.2500 0.6790
F1 F 0.2500 0.7500 0.0000
# * energy with MP2020 corrections: -4.13 eV per atom
# * M_tot: 0.00 μB per formula unit

***

- What is the energy with MP2020 corrections in the first record?
  -4.31 eV per atom

***

- energy with MP2020 corrections of number 3 (SbTe2SeF6)?
  -4.48 eV per atom